1.
Density functional theory data (PBE with a Hubbard U) for a relaxed structure of K2Cr2AsHO10.

Structure (CIF):
```
data_K2Cr2AsHO10
_symmetry_space_group_name_H-M 'P 32 2 1'
_symmetry_Int_Tables_number 154
_cell_length_a 7.9234
_cell_length_b 7.9234
_cell_length_c 14.7818
_cell_angle_alpha 90.00
_cell_angle_beta 90.00
_cell_angle_gamma 120.00
loop_
_symmetry_equiv_pos_as_xyz
'x,y,z'
'-y,x-y,z+2/3'
'-x+y,-x,z+1/3'
'y,x,-z'
'x-y,-y,-z+1/3'
'-x,-x+y,-z+2/3'
loop_
_atom_site_label
_atom_site_fract_x
_atom_site_fract_y
_atom_site_fract_z
K1 0.0000 0.5529 0.3333
K2 0.0000 0.6162 0.8333
Cr1 0.0084 0.5825 0.0789
As1 0.0000 0.1209 0.8333
H1 0.0000 0.9518 0.3333
O1 0.0328 0.0730 0.0796
O2 0.1031 0.5129 0.5137
O3 0.1461 0.5388 0.0127
O4 0.1485 0.7551 0.6490
O5 0.1700 0.8131 0.1399
```

Computed properties:
excess energy over the best structure of this formula in the dataset = 6 meV/atom
total energy = -6.050 eV/atom

---

2.
Density functional theory data (PBE with a Hubbard U) for a relaxed structure of K2Cr2AsO10.

Structure (CIF):
```
data_K2Cr2AsO10
_symmetry_space_group_name_H-M 'P 31'
_symmetry_Int_Tables_number 144
_cell_length_a 7.9302
_cell_length_b 7.9302
_cell_length_c 14.8971
_cell_angle_alpha 90.00
_cell_angle_beta 90.00
_cell_angle_gamma 120.00
loop_
_symmetry_equiv_pos_as_xyz
'x,y,z'
'-y,x-y,z+1/3'
'-x+y,-x,z+2/3'
loop_
_atom_site_label
_atom_site_fract_x
_atom_site_fract_y
_atom_site_fract_z
K1 0.0020 0.6107 0.0000
K2 0.4555 0.4493 0.8262
Cr1 0.0063 0.5827 0.7524
Cr2 0.4185 0.4118 0.5776
As1 0.0201 0.1261 0.9820
O1 0.0664 0.0487 0.3797
O2 0.0892 0.4981 0.3157
O3 0.1069 0.0982 0.8822
O4 0.1451 0.5273 0.8109
O5 0.1619 0.7652 0.1898
O6 0.1703 0.8158 0.6952
O7 0.3410 0.1842 0.6423
O8 0.3912 0.2506 0.1525
O9 0.5349 0.1164 0.3432
O10 0.5611 0.1469 0.8398
```

Computed properties:
total energy = -6.032 eV/atom

---

3.
Density functional theory data (PBE with a Hubbard U) for a relaxed structure of K3Cr2As3O12.

Structure (CIF):
```
data_K3Cr2As3O12
_symmetry_space_group_name_H-M 'I a -3 d'
_symmetry_Int_Tables_number 230
_symmetry_space_group_name_Hall '-I 4bd 2c 3'
_cell_length_a 12.812
_cell_length_b 12.812
_cell_length_c 12.812
_cell_angle_alpha 90.00
_cell_angle_beta 90.00
_cell_angle_gamma 90.00
loop_
_atom_site_label
_atom_site_fract_x
_atom_site_fract_y
_atom_site_fract_z
K1 0.000 0.250 0.125
Cr1 0.000 0.000 0.000
As1 0.000 0.250 0.375
O1 0.043 0.149 0.955
```

Computed properties:
total energy = -6.174 eV/atom

---

4.
Density functional theory data (PBE with a Hubbard U) for a relaxed structure of Li3Cr2As3O12.

Structure (CIF):
```
data_Li3Cr2As3O12
_symmetry_space_group_name_H-M 'I a -3 d'
_symmetry_Int_Tables_number 230
_symmetry_space_group_name_Hall '-I 4bd 2c 3'
_cell_length_a 12.137
_cell_length_b 12.137
_cell_length_c 12.137
_cell_angle_alpha 90.00
_cell_angle_beta 90.00
_cell_angle_gamma 90.00
loop_
_atom_site_label
_atom_site_fract_x
_atom_site_fract_y
_atom_site_fract_z
Li1 0.000 0.250 0.125
Cr1 0.000 0.000 0.000
As1 0.000 0.250 0.375
O1 0.034 0.051 0.654
```

Computed properties:
total energy = -6.381 eV/atom

---

5.
Density functional theory data (PBE with a Hubbard U) for a relaxed structure of Mg3Cr3As4O16.

Structure (CIF):
```
data_Mg3Cr3As4O16
_symmetry_space_group_name_H-M 'P 1 21/c 1'
_symmetry_Int_Tables_number 14
_cell_length_a 8.801
_cell_length_b 5.217
_cell_length_c 16.195
_cell_angle_alpha 90.00
_cell_angle_beta 113.11
_cell_angle_gamma 90.00
loop_
_symmetry_equiv_pos_as_xyz
'x,y,z'
'-x,-y,-z'
'-x,y+1/2,-z+1/2'
'x,-y+1/2,z+1/2'
loop_
_atom_site_label
_atom_site_fract_x
_atom_site_fract_y
_atom_site_fract_z
Mg1 0.000 0.000 0.000
Mg2 0.299 0.037 0.283
Cr1 0.206 0.001 0.878
Cr2 0.500 0.000 0.500
As1 0.037 0.011 0.649
As2 0.418 0.002 0.105
O1 0.033 0.682 0.634
O2 0.081 0.183 0.574
O3 0.153 0.597 0.847
O4 0.188 0.102 0.753
O5 0.243 0.549 0.510
O6 0.399 0.582 0.701
O7 0.433 0.208 0.908
O8 0.491 0.701 0.890
```

Computed properties:
total energy = -6.545 eV/atom

---

6.
Density functional theory data (PBE with a Hubbard U) for a relaxed structure of MgCrAsO5.

Structure (CIF):
```
data_MgCrAsO5
_symmetry_space_group_name_H-M 'P 21 21 21'
_symmetry_Int_Tables_number 19
_cell_length_a 6.050
_cell_length_b 7.722
_cell_length_c 8.496
_cell_angle_alpha 90.00
_cell_angle_beta 90.00
_cell_angle_gamma 90.00
loop_
_symmetry_equiv_pos_as_xyz
'x,y,z'
'-x+1/2,-y,z+1/2'
'x+1/2,-y+1/2,-z'
'-x,y+1/2,-z+1/2'
loop_
_atom_site_label
_atom_site_fract_x
_atom_site_fract_y
_atom_site_fract_z
Mg1 0.053 0.174 0.315
Cr1 0.243 0.755 0.500
As1 0.018 0.101 0.680
O1 0.000 0.129 0.094
O2 0.010 0.403 0.917
O3 0.070 0.248 0.537
O4 0.228 0.640 0.722
O5 0.246 0.087 0.803
```

Computed properties:
total energy = -6.599 eV/atom

---

7.
Density functional theory data (PBE with a Hubbard U) for a relaxed structure of CrAsO6.

Structure (CIF):
```
data_CrAsO6
_symmetry_space_group_name_H-M 'P b c a'
_symmetry_Int_Tables_number 61
_cell_length_a 8.906
_cell_length_b 10.031
_cell_length_c 10.244
_cell_angle_alpha 90.00
_cell_angle_beta 90.00
_cell_angle_gamma 90.00
loop_
_symmetry_equiv_pos_as_xyz
'x,y,z'
'-x,-y,-z'
'-x+1/2,-y,z+1/2'
'x+1/2,y,-z+1/2'
'x+1/2,-y+1/2,-z'
'-x+1/2,y+1/2,z'
'-x,y+1/2,-z+1/2'
'x,-y+1/2,z+1/2'
loop_
_atom_site_label
_atom_site_fract_x
_atom_site_fract_y
_atom_site_fract_z
Cr1 0.170 0.165 0.152
As1 0.032 0.640 0.654
O1 0.010 0.208 0.695
O2 0.012 0.032 0.155
O3 0.092 0.206 0.958
O4 0.213 0.576 0.057
O5 0.218 0.672 0.617
O6 0.234 0.137 0.295
```

Computed properties:
total energy = -5.976 eV/atom

---

no.,ρ (g/cm3)
1,2.59
2,2.56
3,4.03
4,4.02
5,3.81
6,3.87
7,3.24